# Sr2Ti2O5

A geometry-optimized Sr2Ti2O5 structure (PBE, the Materials Project database).

Calculated values
The value obtained for the volume is 503 Å³/cell. The magnetization is 4.6 μB/cell. As for the offset from the most stable computed form: 5 meV/atom.

Cell: 5.6535 15.8043 5.6289 Å, 90.00 90.00 90.00°
With the nearest neighbours (Å) after each atom.
Atoms (fractional coordinates):
Sr  0.0011  0.1152  0.0045  8 O 2.63-2.86
Sr  0.0011  0.3848  0.0045  8 O 2.63-2.86
Sr  0.4989  0.6152  0.5045  8 O 2.63-2.86
Sr  0.4989  0.8848  0.5045  8 O 2.63-2.86
Sr  0.5011  0.1152  0.4955  8 O 2.63-2.86
Sr  0.5011  0.3848  0.4955  8 O 2.63-2.86
Sr  0.9989  0.6152  0.9955  8 O 2.63-2.86
Sr  0.9989  0.8848  0.9955  8 O 2.63-2.86
Ti  0.0000  0.0000  0.5000  6 O 1.99-2.05
Ti  0.0000  0.5000  0.5000  6 O 1.99-2.05
Ti  0.0205  0.2500  0.5271  4 O 1.91-1.93
Ti  0.4795  0.7500  0.0271  4 O 1.91-1.93
Ti  0.5000  0.0000  0.0000  6 O 1.99-2.05
Ti  0.5000  0.5000  0.0000  6 O 1.99-2.05
Ti  0.5205  0.2500  0.9729  4 O 1.91-1.93
Ti  0.9795  0.7500  0.4729  4 O 1.91-1.93
O  0.0050  0.1292  0.4735  2 Ti 1.93-2.05
O  0.0050  0.3708  0.4735  2 Ti 1.93-2.05
O  0.1916  0.7500  0.2057  2 Ti 1.91-1.92
O  0.2445  0.0050  0.7552  2 Ti 1.99-2.00
O  0.2445  0.4950  0.7552  2 Ti 1.99-2.00
O  0.2555  0.5050  0.2552  2 Ti 1.99-2.00
O  0.2555  0.9950  0.2552  2 Ti 1.99-2.00
O  0.3084  0.2500  0.7057  2 Ti 1.91-1.92
O  0.4950  0.6292  0.9735  2 Ti 1.93-2.05
O  0.4950  0.8708  0.9735  2 Ti 1.93-2.05
O  0.5050  0.1292  0.0265  2 Ti 1.93-2.05
O  0.5050  0.3708  0.0265  2 Ti 1.93-2.05
O  0.6916  0.7500  0.2943  2 Ti 1.91-1.92
O  0.7445  0.0050  0.7448  2 Ti 1.99-2.00
O  0.7445  0.4950  0.7448  2 Ti 1.99-2.00
O  0.7555  0.5050  0.2448  2 Ti 1.99-2.00
O  0.7555  0.9950  0.2448  2 Ti 1.99-2.00
O  0.8084  0.2500  0.7943  2 Ti 1.91-1.92
O  0.9950  0.6292  0.5265  2 Ti 1.93-2.05
O  0.9950  0.8708  0.5265  2 Ti 1.93-2.05